Record 1
! TiMoS3 (PBE, optimized geometry); values from VASP
! **DFT formation energy**: -1.37 eV/atom
! **Volume**: 170.3 Å³/cell
! **Space-group type**: No. 11
! **E**: -7.30 eV per atom
! **Total moment**: 0.000 μB per cell
&SYSTEM
  ibrav = 0, nat = 10, ntyp = 3
/
ATOMIC_SPECIES
S 32.06 S.upf
Mo 95.94 Mo.upf
Ti 47.87 Ti.upf
ATOMIC_POSITIONS crystal
S 0.750 0.979 0.830
S 0.250 0.021 0.170
S 0.250 0.496 0.822
S 0.250 0.275 0.513
S 0.750 0.725 0.487
S 0.750 0.504 0.178
Mo 0.750 0.118 0.375
Mo 0.250 0.882 0.625
Ti 0.750 0.263 0.994
Ti 0.250 0.737 0.006
CELL_PARAMETERS angstrom
-2.052 -0.123 2.552
-0.946 -5.993 -1.050
6.099 -4.149 4.703

Record 2
! Tl2Mo9S11 (PBE, optimized geometry); values from VASP
! **DFT formation energy**: -0.89 eV/atom
! **Volume**: 909.7 Å³/cell
! **Space-group type**: No. 148
! **E**: -7.36 eV per atom
! **Total moment**: 0.006 μB per cell
&SYSTEM
  ibrav = 0, nat = 44, ntyp = 3
/
ATOMIC_SPECIES
Tl 204.38 Tl.upf
S 32.06 S.upf
Mo 95.94 Mo.upf
ATOMIC_POSITIONS crystal
Tl 0.230 0.230 0.230
Tl 0.668 0.668 0.668
Tl 0.770 0.770 0.770
Tl 0.332 0.332 0.332
S 0.853 0.853 0.853
S 0.199 0.597 0.937
S 0.801 0.403 0.063
S 0.584 0.584 0.584
S 0.718 0.051 0.327
S 0.416 0.416 0.416
S 0.758 0.160 0.503
S 0.147 0.147 0.147
S 0.242 0.840 0.497
S 0.497 0.242 0.840
S 0.051 0.327 0.718
S 0.327 0.718 0.051
S 0.403 0.063 0.801
S 0.503 0.758 0.160
S 0.063 0.801 0.403
S 0.282 0.949 0.673
S 0.949 0.673 0.282
S 0.673 0.282 0.949
S 0.840 0.497 0.242
S 0.160 0.503 0.758
S 0.597 0.937 0.199
S 0.937 0.199 0.597
Mo 0.130 0.798 0.980
Mo 0.747 0.076 0.889
Mo 0.889 0.747 0.076
Mo 0.358 0.547 0.694
Mo 0.798 0.980 0.130
Mo 0.980 0.130 0.798
Mo 0.547 0.694 0.358
Mo 0.642 0.453 0.306
Mo 0.253 0.924 0.111
Mo 0.870 0.202 0.020
Mo 0.924 0.111 0.253
Mo 0.306 0.642 0.453
Mo 0.202 0.020 0.870
Mo 0.453 0.306 0.642
Mo 0.020 0.870 0.202
Mo 0.694 0.358 0.547
Mo 0.111 0.253 0.924
Mo 0.076 0.889 0.747
CELL_PARAMETERS angstrom
-6.448 6.986 -8.942
-10.391 7.885 -0.447
-2.490 12.568 -2.486

Record 3
! Tl2Mo9S11 (PBE, optimized geometry); values from VASP
! **DFT formation energy**: -0.89 eV/atom
! **Volume**: 917.3 Å³/cell
! **Space-group type**: No. 167
! **E**: -7.36 eV per atom
! **Total moment**: 0.001 μB per cell
&SYSTEM
  ibrav = 0, nat = 44, ntyp = 3
/
ATOMIC_SPECIES
S 32.06 S.upf
Mo 95.94 Mo.upf
Tl 204.38 Tl.upf
ATOMIC_POSITIONS crystal
S 0.250 0.554 0.946
S 0.446 0.054 0.750
S 0.379 0.716 0.981
S 0.121 0.519 0.784
S 0.635 0.635 0.635
S 0.865 0.865 0.865
S 0.981 0.379 0.716
S 0.054 0.750 0.446
S 0.946 0.250 0.554
S 0.554 0.946 0.250
S 0.365 0.365 0.365
S 0.716 0.981 0.379
S 0.519 0.784 0.121
S 0.135 0.135 0.135
S 0.784 0.121 0.519
S 0.284 0.019 0.621
S 0.481 0.216 0.879
S 0.750 0.446 0.054
S 0.019 0.621 0.284
S 0.216 0.879 0.481
S 0.621 0.284 0.019
S 0.879 0.481 0.216
Mo 0.027 0.177 0.356
Mo 0.177 0.356 0.027
Mo 0.527 0.856 0.677
Mo 0.973 0.823 0.644
Mo 0.583 0.750 0.917
Mo 0.473 0.144 0.323
Mo 0.083 0.417 0.250
Mo 0.677 0.527 0.856
Mo 0.917 0.583 0.750
Mo 0.856 0.677 0.527
Mo 0.144 0.323 0.473
Mo 0.417 0.250 0.083
Mo 0.250 0.083 0.417
Mo 0.750 0.917 0.583
Mo 0.823 0.644 0.973
Mo 0.323 0.473 0.144
Mo 0.356 0.027 0.177
Mo 0.644 0.973 0.823
Tl 0.947 0.947 0.947
Tl 0.553 0.553 0.553
Tl 0.447 0.447 0.447
Tl 0.053 0.053 0.053
CELL_PARAMETERS angstrom
-10.320 -6.252 5.201
-2.947 -6.485 11.041
-8.088 1.357 10.266

Record 4
! TmMo6S8 (PBE, optimized geometry); values from VASP
! **DFT formation energy**: -1.15 eV/atom
! **Volume**: 272.8 Å³/cell
! **Space-group type**: No. 148
! **E**: -7.73 eV per atom
! **Total moment**: 0.017 μB per cell
&SYSTEM
  ibrav = 0, nat = 15, ntyp = 3
/
ATOMIC_SPECIES
Mo 95.94 Mo.upf
S 32.06 S.upf
Tm 168.93 Tm.upf
ATOMIC_POSITIONS crystal
Mo 0.778 0.441 0.580
Mo 0.441 0.580 0.778
Mo 0.580 0.778 0.441
Mo 0.222 0.559 0.420
Mo 0.559 0.420 0.222
Mo 0.420 0.222 0.559
S 0.128 0.366 0.753
S 0.872 0.634 0.247
S 0.366 0.753 0.128
S 0.634 0.247 0.872
S 0.753 0.128 0.366
S 0.236 0.236 0.236
S 0.247 0.872 0.634
S 0.764 0.764 0.764
Tm 0.000 0.000 0.000
CELL_PARAMETERS angstrom
-6.143 2.078 0.010
-1.864 -5.397 3.076
0.944 2.890 5.729

Record 5
! VMo2S4 (PBE, optimized geometry); values from VASP
! **DFT formation energy**: -0.82 eV/atom
! **Volume**: 963.6 Å³/cell
! **Space-group type**: No. 1
! **E**: -7.29 eV per atom
! **Total moment**: 8.118 μB per cell
&SYSTEM
  ibrav = 0, nat = 56, ntyp = 3
/
ATOMIC_SPECIES
S 32.06 S.upf
Mo 95.94 Mo.upf
V 50.94 V.upf
ATOMIC_POSITIONS crystal
S 0.440 0.142 0.462
S 0.629 0.370 0.836
S 0.655 0.336 0.318
S 0.353 0.982 0.239
S 0.994 0.225 0.150
S 0.533 0.227 0.153
S 0.167 0.894 0.570
S 0.042 0.233 0.643
S 0.434 0.719 0.384
S 0.406 0.625 0.688
S 0.710 0.876 0.563
S 0.920 0.109 0.457
S 0.969 0.708 0.884
S 0.847 0.594 0.710
S 0.859 0.961 0.259
S 0.955 0.707 0.400
S 0.835 0.963 0.760
S 0.164 0.347 0.811
S 0.425 0.687 0.908
S 0.119 0.357 0.342
S 0.494 0.241 0.641
S 0.755 0.829 0.073
S 0.976 0.104 0.944
S 0.338 0.992 0.770
S 0.890 0.598 0.225
S 0.383 0.640 0.209
S 0.240 0.538 0.060
S 0.795 0.479 0.025
S 0.437 0.170 0.958
S 0.223 0.920 0.073
S 0.304 0.509 0.519
S 0.776 0.484 0.524
Mo 0.171 0.374 0.191
Mo 0.057 0.762 0.151
Mo 0.024 0.152 0.303
Mo 0.953 0.640 0.558
Mo 0.502 0.681 0.057
Mo 0.692 0.392 0.684
Mo 0.282 0.966 0.422
Mo 0.533 0.175 0.785
Mo 0.720 0.456 0.177
Mo 0.755 0.947 0.935
Mo 0.499 0.710 0.532
Mo 0.208 0.476 0.668
Mo 0.753 0.544 0.371
Mo 0.428 0.168 0.309
Mo 0.367 0.943 0.927
Mo 0.940 0.174 0.790
V 0.170 0.820 0.302
V 0.750 0.958 0.413
V 0.679 0.779 0.823
V 0.861 0.045 0.094
V 0.372 0.026 0.605
V 0.836 0.088 0.634
V 0.223 0.505 0.914
V 0.467 0.035 0.083
CELL_PARAMETERS angstrom
-0.513 1.684 6.567
-3.931 -7.482 4.647
13.820 -5.132 5.367

Record 6
! VMo2S4 (PBE, optimized geometry); values from VASP
! **DFT formation energy**: -1.04 eV/atom
! **Volume**: 457.5 Å³/cell
! **Space-group type**: No. 15
! **E**: -7.51 eV per atom
! **Total moment**: 8.956 μB per cell
&SYSTEM
  ibrav = 0, nat = 28, ntyp = 3
/
ATOMIC_SPECIES
S 32.06 S.upf
Mo 95.94 Mo.upf
V 50.94 V.upf
ATOMIC_POSITIONS crystal
S 0.105 0.365 0.114
S 0.624 0.864 0.109
S 0.896 0.150 0.860
S 0.417 0.659 0.851
S 0.850 0.104 0.640
S 0.635 0.895 0.386
S 0.136 0.376 0.391
S 0.104 0.850 0.140
S 0.659 0.417 0.351
S 0.864 0.624 0.609
S 0.895 0.635 0.886
S 0.341 0.583 0.649
S 0.583 0.341 0.149
S 0.365 0.105 0.614
S 0.150 0.896 0.360
S 0.376 0.136 0.891
Mo 0.769 0.055 0.491
Mo 0.231 0.945 0.509
Mo 0.492 0.703 0.007
Mo 0.508 0.297 0.993
Mo 0.297 0.508 0.493
Mo 0.055 0.769 0.991
Mo 0.945 0.231 0.009
Mo 0.703 0.492 0.507
V 0.630 0.878 0.749
V 0.370 0.122 0.251
V 0.878 0.630 0.249
V 0.122 0.370 0.751
CELL_PARAMETERS angstrom
3.247 6.051 0.000
-3.247 6.051 0.000
0.000 5.356 11.643

Record 7
! V2MoS4 (PBE, optimized geometry); values from VASP
! **DFT formation energy**: -1.17 eV/atom
! **Volume**: 111.5 Å³/cell
! **Space-group type**: No. 8
! **E**: -7.39 eV per atom
! **Total moment**: 2.491 μB per cell
&SYSTEM
  ibrav = 0, nat = 7, ntyp = 3
/
ATOMIC_SPECIES
S 32.06 S.upf
V 50.94 V.upf
Mo 95.94 Mo.upf
ATOMIC_POSITIONS crystal
S 0.108 0.108 0.548
S 0.894 0.894 0.439
S 0.360 0.360 0.982
S 0.636 0.636 0.029
V 0.743 0.743 0.320
V 0.001 0.001 0.995
Mo 0.258 0.258 0.687
CELL_PARAMETERS angstrom
1.622 6.379 0.000
-1.622 6.379 0.000
0.000 2.514 5.385

Record 8
! VMo2S4 (PBE, optimized geometry); values from VASP
! **DFT formation energy**: -1.04 eV/atom
! **Volume**: 113.7 Å³/cell
! **Space-group type**: No. 12
! **E**: -7.51 eV per atom
! **Total moment**: 2.098 μB per cell
&SYSTEM
  ibrav = 0, nat = 7, ntyp = 3
/
ATOMIC_SPECIES
Mo 95.94 Mo.upf
S 32.06 S.upf
V 50.94 V.upf
ATOMIC_POSITIONS crystal
Mo 0.741 0.685 0.483
Mo 0.259 0.315 0.517
S 0.105 0.440 0.210
S 0.636 0.972 0.273
S 0.895 0.560 0.790
S 0.364 0.028 0.727
V 0.000 0.000 0.000
CELL_PARAMETERS angstrom
3.227 0.000 0.000
0.000 2.489 5.506
-1.613 -6.401 0.000

Record 9
! VMo2S4 (PBE, optimized geometry); values from VASP
! **DFT formation energy**: -0.53 eV/atom
! **Volume**: 1079.3 Å³/cell
! **Space-group type**: No. 1
! **E**: -7.00 eV per atom
! **Total moment**: 5.677 μB per cell
&SYSTEM
  ibrav = 0, nat = 56, ntyp = 3
/
ATOMIC_SPECIES
V 50.94 V.upf
S 32.06 S.upf
Mo 95.94 Mo.upf
ATOMIC_POSITIONS crystal
V 0.840 0.089 0.943
V 0.805 0.582 0.976
V 0.218 0.332 0.151
V 0.614 0.840 0.264
V 0.228 0.622 0.931
V 0.583 0.303 0.302
V 0.845 0.886 0.494
V 0.236 0.085 0.014
S 0.779 0.149 0.539
S 0.935 0.951 0.513
S 0.273 0.492 0.233
S 0.649 0.745 0.980
S 0.403 0.603 0.066
S 0.818 0.259 0.651
S 0.996 0.073 0.070
S 0.990 0.772 0.964
S 0.045 0.487 0.146
S 0.667 0.038 0.234
S 0.465 0.025 0.810
S 0.285 0.478 0.550
S 0.743 0.452 0.278
S 0.279 0.992 0.517
S 0.499 0.318 0.007
S 0.383 0.693 0.682
S 0.464 0.019 0.150
S 0.056 0.693 0.730
S 0.542 0.204 0.853
S 0.035 0.259 0.767
S 0.315 0.187 0.439
S 0.340 0.697 0.349
S 0.600 0.433 0.985
S 0.037 0.432 0.922
S 0.345 0.286 0.550
S 0.472 0.720 0.881
S 0.393 0.863 0.209
S 0.816 0.652 0.464
S 0.842 0.493 0.498
S 0.095 0.240 0.021
S 0.940 0.935 0.983
S 0.781 0.800 0.489
Mo 0.691 0.130 0.260
Mo 0.834 0.246 0.037
Mo 0.219 0.920 0.815
Mo 0.688 0.585 0.268
Mo 0.104 0.638 0.285
Mo 0.246 0.339 0.747
Mo 0.123 0.661 0.462
Mo 0.983 0.343 0.473
Mo 0.607 0.109 0.551
Mo 0.340 0.936 0.920
Mo 0.985 0.194 0.315
Mo 0.791 0.403 0.105
Mo 0.554 0.680 0.449
Mo 0.710 0.935 0.973
Mo 0.766 0.851 0.796
Mo 0.113 0.137 0.559
CELL_PARAMETERS angstrom
-8.973 -3.257 -3.858
-12.579 -17.296 0.010
-8.204 -3.362 6.084

Record 10
! MoW3S8 (PBE, optimized geometry); values from VASP
! **DFT formation energy**: -1.16 eV/atom
! **Volume**: 316.1 Å³/cell
! **Space-group type**: No. 156
! **E**: -7.73 eV per atom
&SYSTEM
  ibrav = 0, nat = 12, ntyp = 3
/
ATOMIC_SPECIES
S 32.06 S.upf
W 183.84 W.upf
Mo 95.94 Mo.upf
ATOMIC_POSITIONS crystal
S 0.333 0.667 0.325
S 0.667 0.333 0.050
S 0.333 0.667 0.614
S 0.333 0.667 0.238
S 0.667 0.333 0.514
S 0.667 0.333 0.138
S 0.667 0.333 0.426
S 0.333 0.667 0.701
W 0.333 0.667 0.094
W 0.333 0.667 0.470
W 0.667 0.333 0.658
Mo 0.667 0.333 0.282
CELL_PARAMETERS angstrom
2.696 1.651 -0.433
-2.822 1.482 -0.159
1.546 6.705 35.178

Record 11
! MoW3S8 (PBE, optimized geometry); values from VASP
! **DFT formation energy**: -1.16 eV/atom
! **Volume**: 316.2 Å³/cell
! **Space-group type**: No. 156
! **E**: -7.73 eV per atom
&SYSTEM
  ibrav = 0, nat = 12, ntyp = 3
/
ATOMIC_SPECIES
S 32.06 S.upf
Mo 95.94 Mo.upf
W 183.84 W.upf
ATOMIC_POSITIONS crystal
S 0.333 0.667 0.138
S 0.000 0.000 0.326
S 0.000 0.000 0.238
S 0.333 0.667 0.514
S 0.333 0.667 0.426
S 0.000 0.000 0.701
S 0.000 0.000 0.614
S 0.333 0.667 0.050
Mo 0.000 0.000 0.094
W 0.000 0.000 0.470
W 0.333 0.667 0.658
W 0.333 0.667 0.282
CELL_PARAMETERS angstrom
1.716 2.344 1.320
-2.233 -1.502 1.714
24.401 -23.942 10.805

Record 12
! Sb7Mo3 (PBE, optimized geometry); values from VASP
! **DFT formation energy**: -0.01 eV/atom
! **Volume**: 451.4 Å³/cell
! **Space-group type**: No. 229
! **E**: -6.16 eV per atom
&SYSTEM
  ibrav = 0, nat = 20, ntyp = 2
/
ATOMIC_SPECIES
Mo 95.94 Mo.upf
Sb 121.76 Sb.upf
ATOMIC_POSITIONS crystal
Mo 0.000 0.342 0.342
Mo 0.342 0.000 0.342
Mo 0.342 0.342 0.000
Mo 0.000 0.658 0.658
Mo 0.658 0.000 0.658
Mo 0.658 0.658 0.000
Sb 0.500 0.750 0.250
Sb 0.500 0.250 0.750
Sb 0.750 0.500 0.250
Sb 0.750 0.250 0.500
Sb 0.000 0.678 0.000
Sb 0.000 0.322 0.000
Sb 0.250 0.500 0.750
Sb 0.678 0.000 0.000
Sb 0.250 0.750 0.500
Sb 0.000 0.000 0.322
Sb 0.000 0.000 0.678
Sb 0.322 0.000 0.000
Sb 0.322 0.322 0.322
Sb 0.678 0.678 0.678
CELL_PARAMETERS angstrom
-4.832 4.832 4.832
4.832 -4.832 4.832
4.832 4.832 -4.832

Question: Which formula does entry 10 have?
Answer: MoW3S8

Question: Which value of DFT formation energy does entry 3 give?
Answer: -0.89 eV/atom

Question: Among the records above, which one has the highest volume?
Answer: number 9

Question: Among the records above, which one has the lowest volume?
Answer: V2MoS4